Here is a geometry-optimized HfIN structure from the Materials Project. Energies are from PBE.

Geometry as extended XYZ:
```
6
Lattice="1.855 1.071 12.045 -1.855 1.071 12.045 0.000 -2.142 12.045" Properties=species:S:1:pos:R:3 pbc="T T T"
Hf 0.000 0.000 7.286
Hf 0.000 0.000 28.850
I 0.000 0.000 14.603
I 0.000 0.000 21.533
N 0.000 0.000 5.151
N 0.000 0.000 30.984
```

energy of formation from the pure elements = -1.534 eV/atom
SG = R-3m